1.
VASP calculation (GGA-PBE) on a relaxed Te5As2Br4O5F26 crystal.

The structure in extended XYZ format:
```
168
Lattice="9.990 0.000 0.000 -4.693 17.466 0.000 -4.509 -5.892 17.768" Properties=species:S:1:pos:R:3 pbc="T T T"
Te 5.273 7.090 1.970
Te -4.485 4.483 15.798
Te 5.423 1.429 10.743
Te -4.635 10.145 7.025
Te 1.132 8.072 9.711
Te 2.524 11.892 1.814
Te -0.344 3.502 8.057
Te 4.646 4.119 6.720
Te -1.736 -0.318 15.954
Te -0.208 11.991 7.230
Te 0.996 -0.417 10.538
Te -6.813 8.702 15.323
Te 7.601 2.871 2.445
Te 2.771 -0.238 5.961
Te 2.781 1.623 1.087
Te -2.323 12.433 1.944
Te -1.993 9.951 16.681
Te 3.110 -0.860 15.824
Te -3.858 7.455 11.049
Te -1.983 11.811 11.807
As 0.265 4.653 13.897
As 2.697 1.979 8.649
As 5.127 4.026 0.254
As -2.523 -4.231 13.095
As -4.339 7.548 17.514
As -1.909 9.595 9.119
As 3.311 15.804 4.673
As 0.523 6.921 3.872
Br 2.028 8.409 4.696
Br 1.459 4.857 3.716
Br 4.071 13.906 5.672
Br 0.908 3.975 15.966
Br -0.477 -3.892 14.018
Br 7.850 -0.028 6.249
Br 5.957 -4.819 14.691
Br -0.671 6.717 14.052
Br -3.283 -2.332 12.096
Br -1.240 3.165 13.073
Br 2.046 4.714 12.493
Br -5.169 16.392 3.077
Br -1.258 6.859 5.275
Br 1.265 15.466 3.750
Br -7.062 11.602 11.519
Br -0.120 7.598 1.802
O -1.404 12.634 0.289
O -3.705 9.849 8.649
O -2.005 11.243 9.991
O 4.493 1.724 9.119
O 5.924 3.571 1.880
O 2.135 1.072 10.178
O -3.749 5.943 16.761
O 2.192 -1.061 17.480
O 4.537 5.631 1.007
O -1.347 10.502 7.590
O 2.793 0.331 7.777
O 3.523 3.365 0.921
O -2.468 8.706 10.654
O -2.735 8.209 16.847
O 1.023 12.958 1.343
O -0.235 -1.384 16.425
O 3.256 2.868 7.114
O -5.136 8.003 15.888
O 0.953 2.115 8.023
O -0.165 9.459 9.745
F 3.519 13.439 2.234
F 3.956 10.890 2.492
F -2.881 3.579 16.170
F -5.811 0.400 16.715
F -0.110 -1.841 11.074
F 7.931 1.846 0.907
F -0.799 2.177 3.176
F 1.655 10.269 1.449
F -1.042 -0.309 14.206
F 6.073 7.865 0.446
F -1.183 11.050 2.512
F 5.999 2.816 6.732
F -3.351 12.136 3.483
F 4.288 10.443 5.495
F 4.283 0.745 5.439
F -6.132 5.268 15.366
F 4.339 3.754 4.905
F 3.895 -1.652 6.462
F -7.143 9.727 16.861
F -3.780 11.768 6.596
F 5.019 4.549 8.499
F 4.092 11.152 7.988
F -0.490 12.908 11.467
F 0.898 13.415 6.694
F 4.321 -2.219 16.284
F -1.977 12.523 13.549
F 0.154 -0.521 8.862
F 4.239 2.379 11.851
F 5.950 5.364 6.192
F 1.971 0.523 15.256
F -1.478 13.256 7.776
F 3.372 11.841 0.141
F 1.039 -3.396 17.243
F -0.912 11.998 5.494
F 4.334 8.595 7.286
F -3.107 13.226 11.306
F -1.654 9.556 14.872
F -1.072 11.570 16.408
F -1.727 4.765 8.034
F -3.168 0.684 15.276
F 1.159 10.832 6.656
F -3.546 2.979 10.482
F -3.573 10.833 16.206
F -5.934 10.163 14.524
F 4.568 -0.194 11.172
F 2.605 3.472 9.594
F 4.539 6.443 3.571
F -2.584 -0.267 17.628
F -1.324 13.686 2.929
F -2.731 -1.865 15.534
F -0.867 1.305 16.319
F 2.432 9.411 9.479
F 2.266 -1.683 9.992
F 4.139 -0.562 14.286
F 3.403 5.523 6.624
F -3.751 5.130 14.197
F 0.867 4.904 7.761
F -0.371 0.741 11.112
F -5.162 6.210 11.576
F -0.823 10.471 12.422
F -3.551 7.820 12.863
F 1.351 8.243 11.569
F -1.644 2.163 8.289
F -2.615 6.051 11.144
F -3.495 10.829 12.329
F 2.515 6.808 9.734
F 1.700 -0.424 12.274
F 1.830 11.883 3.562
F -4.232 7.025 9.269
F -0.079 6.670 10.007
F -1.489 -4.774 17.064
F -0.251 14.969 0.525
F 2.117 7.321 16.034
F 4.361 0.741 1.562
F -5.043 2.974 14.839
F 1.278 -1.335 6.301
F -3.304 0.422 9.780
F 5.831 8.600 2.929
F 2.765 -0.949 4.219
F -1.817 8.102 8.174
F 2.442 2.017 2.896
F -3.500 1.131 12.273
F 6.722 1.411 3.244
F 0.634 12.095 8.906
F -1.329 4.253 1.734
F 6.920 6.306 2.402
F 2.112 -2.112 14.839
F 2.277 16.348 0.705
F -0.329 9.200 17.135
F -5.211 8.757 11.036
F 1.587 9.396 14.592
F -3.451 9.195 5.917
F 1.048 7.840 7.848
F 1.117 2.374 0.633
F -0.563 3.330 6.199
F 1.611 1.103 5.346
F 7.404 3.837 4.037
F -0.260 3.734 9.920
F -6.616 7.737 13.731
F 3.669 7.994 1.598
F 6.598 11.174 1.053
F -3.533 13.792 1.484
F 1.860 0.003 1.360
F -5.285 3.709 17.322
```

- ρ: 3.602 g cm⁻³
- Raw total energy: -4.15 eV/atom
- Space-group type: P-1
- Energy relative to the elements: -1.9886 eV/atom

2.
VASP calculation (GGA-PBE) on a relaxed AlH6IO4 crystal.

The structure in extended XYZ format:
```
24
Lattice="2.685 3.046 -3.359 -0.551 -5.719 -5.626 -7.095 4.148 2.224" Properties=species:S:1:pos:R:3 pbc="T T T"
Al -6.409 -1.073 -4.029
Al 1.449 2.548 -2.732
H 0.109 0.352 -2.965
H -1.040 -3.745 -4.989
H -5.069 1.123 -3.796
H -3.920 5.220 -1.772
H -3.057 2.192 -4.881
H -4.306 3.392 -0.075
H -1.903 -0.717 -1.880
H -0.654 -1.917 -6.686
H -2.212 0.989 -5.457
H -3.952 -1.940 -4.467
H -2.748 0.486 -1.304
H -1.009 3.416 -2.294
I -1.510 -1.209 -4.370
I -3.450 2.684 -2.391
O 0.719 0.866 -2.400
O -0.793 -4.659 -5.232
O -5.679 0.609 -4.361
O -4.168 6.134 -1.529
O -2.652 1.838 -5.714
O -4.884 -2.149 -4.726
O -2.308 -0.363 -1.047
O -0.076 3.624 -2.035
```

- ρ: 2.497 g cm⁻³
- Raw total energy: -5.12 eV/atom
- Space-group type: C2/c
- Energy relative to the elements: -1.5636 eV/atom

3.
VASP calculation (GGA-PBE) on a relaxed Zr2Ni crystal.

The structure in extended XYZ format:
```
6
Lattice="-3.253 3.253 2.631 3.253 -3.253 2.631 3.253 3.253 -2.631" Properties=species:S:1:pos:R:3 pbc="T T T"
Zr 4.314 1.061 0.000
Zr -1.061 2.192 2.631
Zr 1.061 2.192 0.000
Zr 2.192 1.061 2.631
Ni 0.000 0.000 1.316
Ni 0.000 0.000 3.947
```

- ρ: 7.189 g cm⁻³
- Raw total energy: -7.95 eV/atom
- Space-group type: I4/mcm
- Energy relative to the elements: -0.3231 eV/atom

4.
VASP calculation (GGA-PBE) on a relaxed Dy2Si3Ni crystal.

The structure in extended XYZ format:
```
6
Lattice="2.006 -3.474 0.000 2.006 3.474 0.000 0.000 0.000 7.976" Properties=species:S:1:pos:R:3 pbc="T T T"
Dy 2.006 1.158 1.901
Dy 2.006 1.158 6.075
Si 2.006 -1.158 3.988
Si 0.000 0.000 0.000
Si 0.000 0.000 3.988
Ni 2.006 -1.158 0.000
```

- ρ: 6.992 g cm⁻³
- Raw total energy: -5.90 eV/atom
- Space-group type: P-6m2
- Energy relative to the elements: -0.6857 eV/atom

5.
VASP calculation (GGA-PBE) on a relaxed BaThO3 crystal.

The structure in extended XYZ format:
```
20
Lattice="-6.009 -1.048 1.897 -0.066 -5.557 -3.277 3.070 -4.352 7.320" Properties=species:S:1:pos:R:3 pbc="T T T"
Ba -2.338 -4.582 1.055
Ba -5.178 -2.305 3.600
Ba -0.667 -6.375 4.886
Ba 2.173 -8.652 2.341
Th -0.033 -2.778 -1.638
Th -1.470 -2.700 4.609
Th 1.502 -4.955 2.022
Th -3.005 -0.524 0.949
O -1.752 -6.905 -0.572
O 0.188 -3.794 0.464
O -1.253 -4.052 6.513
O -3.193 -7.163 5.477
O -4.613 -5.402 -0.718
O -2.937 -4.292 3.717
O 0.380 -3.814 3.730
O 1.160 -8.406 5.151
O 1.607 -5.555 6.658
O -0.068 -6.665 2.223
O -3.385 -7.143 2.210
O -4.165 -2.551 0.790
```

- ρ: 7.431 g cm⁻³
- Raw total energy: -8.20 eV/atom
- Space-group type: Pnma
- Energy relative to the elements: -3.7751 eV/atom

6.
VASP calculation (GGA-PBE) on a relaxed CeZr7O16 crystal.

The structure in extended XYZ format:
```
24
Lattice="3.163 -5.475 3.906 4.142 -5.176 -3.361 6.215 1.525 0.900" Properties=species:S:1:pos:R:3 pbc="T T T"
Ce 6.210 1.523 0.899
Zr 6.999 -4.502 -1.086
Zr 4.938 -1.926 0.586
Zr 9.842 -3.786 1.170
Zr 6.512 -4.651 2.530
Zr 5.723 -7.900 -1.383
Zr 8.605 -7.211 0.862
Zr 5.240 -8.048 2.204
O 4.516 0.150 0.615
O 7.078 -0.775 0.922
O 7.345 -6.577 -1.146
O 8.618 -3.153 -0.790
O 4.929 -5.659 -1.321
O 6.146 -2.198 -1.115
O 10.676 -6.159 1.185
O 8.246 -5.138 0.900
O 5.823 -4.134 0.614
O 3.336 -3.246 0.316
O 6.852 -6.727 2.511
O 5.657 -2.348 2.518
O 8.136 -3.300 2.782
O 4.466 -5.800 2.115
O 9.431 -9.482 0.880
O 6.913 -8.463 0.583
```

- ρ: 5.995 g cm⁻³
- Raw total energy: -9.36 eV/atom
- Energy above the lowest structure with this stoichiometry: 23.5 meV per atom
- Space-group type: Cm
- Energy relative to the elements: -3.7806 eV/atom

7.
VASP calculation (GGA-PBE) on a relaxed Sn4SI6 crystal.

The structure in extended XYZ format:
```
22
Lattice="2.229 7.332 0.000 -2.229 7.332 0.000 0.000 1.737 25.709" Properties=species:S:1:pos:R:3 pbc="T T T"
Sn 0.000 11.822 22.018
Sn 0.000 4.580 3.691
Sn 0.000 12.142 10.717
Sn 0.000 4.260 14.992
Sn 0.000 9.310 0.430
Sn 0.000 7.092 25.279
Sn 0.000 8.056 18.416
Sn 0.000 8.346 7.293
S 0.000 3.374 1.322
S 0.000 13.028 24.386
I 0.000 2.638 23.630
I 0.000 13.764 2.079
I 0.000 13.435 13.506
I 0.000 2.967 12.203
I 0.000 13.260 17.524
I 0.000 3.142 8.185
I 0.000 9.340 15.486
I 0.000 7.062 10.222
I 0.000 2.758 19.343
I 0.000 13.644 6.366
I 0.000 6.689 21.446
I 0.000 9.713 4.263
```

- ρ: 5.011 g cm⁻³
- Raw total energy: -3.15 eV/atom
- Space-group type: C2/m
- Energy relative to the elements: -0.7390 eV/atom

8.
VASP calculation (GGA-PBE) on a relaxed ThCu2Ge2 crystal.

The structure in extended XYZ format:
```
5
Lattice="2.983 -1.513 4.820 2.495 4.192 3.260 -5.222 -1.112 -2.432" Properties=species:S:1:pos:R:3 pbc="T T T"
Th 0.000 0.000 0.000
Cu 0.006 2.210 2.434
Cu 0.250 -0.643 3.214
Ge 3.418 1.672 5.042
Ge 2.060 1.007 3.038
```

- ρ: 9.398 g cm⁻³
- Raw total energy: -5.45 eV/atom
- Space-group type: I4/mmm
- Energy relative to the elements: -0.4831 eV/atom

9.
VASP calculation (GGA-PBE) on a relaxed Li7IN2 crystal.

The structure in extended XYZ format:
```
20
Lattice="0.000 5.571 5.571 5.571 0.000 5.571 5.571 5.571 0.000" Properties=species:S:1:pos:R:3 pbc="T T T"
Li 0.000 0.000 0.000
Li 2.786 2.786 2.786
Li 8.357 10.983 8.357
Li 2.945 5.571 5.571
Li 8.198 5.571 5.571
Li 5.571 8.198 5.571
Li 5.571 5.571 2.945
Li 5.571 5.571 8.198
Li 8.357 8.357 10.983
Li 10.983 8.357 8.357
Li 5.730 8.357 8.357
Li 8.357 8.357 5.730
Li 5.571 2.945 5.571
Li 8.357 5.730 8.357
I 8.357 8.357 8.357
I 5.571 5.571 5.571
N 6.964 6.964 6.964
N 6.964 4.178 4.178
N 4.178 6.964 4.178
N 4.178 4.178 6.964
```

- ρ: 1.954 g cm⁻³
- Raw total energy: -2.93 eV/atom
- Energy above the lowest structure with this stoichiometry: 781.5 meV per atom
- Space-group type: Fd-3m
- Energy relative to the elements: 0.1580 eV/atom

10.
VASP calculation (GGA-PBE) on a relaxed YFe4Si2 crystal.

The structure in extended XYZ format:
```
14
Lattice="7.085 0.000 0.000 0.000 7.085 0.000 0.000 0.000 3.760" Properties=species:S:1:pos:R:3 pbc="T T T"
Y 3.542 3.542 0.000
Y 0.000 0.000 1.880
Fe 4.149 1.032 1.880
Fe 2.935 6.053 1.880
Fe 0.607 2.510 0.000
Fe 6.477 4.574 0.000
Fe 1.032 4.149 1.880
Fe 6.053 2.935 1.880
Fe 2.510 0.607 0.000
Fe 4.574 6.477 0.000
Si 5.095 5.095 1.880
Si 1.990 1.990 1.880
Si 1.553 5.532 0.000
Si 5.532 1.553 0.000
```

- ρ: 6.484 g cm⁻³
- Raw total energy: -7.77 eV/atom
- Space-group type: P4_2/mnm
- Energy relative to the elements: -0.4341 eV/atom

11.
VASP calculation (GGA-PBE) on a relaxed Cs2CoS2 crystal.

The structure in extended XYZ format:
```
10
Lattice="2.836 4.862 6.334 -4.958 6.809 0.929 -1.030 -8.410 -0.104" Properties=species:S:1:pos:R:3 pbc="T T T"
Cs 0.285 0.550 3.136
Cs -3.436 2.711 4.022
Cs -2.083 -3.700 1.402
Cs -1.069 6.961 5.756
Co -4.491 -1.201 0.618
Co -1.497 -0.400 0.206
S -0.260 3.596 5.094
S -2.891 -0.335 2.064
S -4.478 5.198 1.288
S 1.326 -1.937 5.870
```

- ρ: 4.017 g cm⁻³
- Raw total energy: -4.18 eV/atom
- Space-group type: Ibam
- Energy relative to the elements: -0.9444 eV/atom

12.
VASP calculation (GGA-PBE) on a relaxed Ba2HoMgSbO6 crystal.

The structure in extended XYZ format:
```
11
Lattice="6.058 0.466 4.259 2.460 5.554 4.258 0.661 0.466 7.374" Properties=species:S:1:pos:R:3 pbc="T T T"
Ba 7.584 5.356 13.125
Ba 2.553 1.800 4.413
Ho 0.035 0.024 0.059
Mg 5.490 3.876 9.500
Sb 4.130 2.918 7.150
O 3.862 4.746 9.980
O 3.377 4.172 5.851
O 5.766 2.051 9.979
O 2.536 1.795 7.307
O 5.053 1.792 5.843
O 6.719 4.746 8.329
```

- ρ: 5.187 g cm⁻³
- Raw total energy: -6.42 eV/atom
- Energy above the lowest structure with this stoichiometry: 0.0 meV per atom
- Space-group type: Cm
- Energy relative to the elements: -2.8094 eV/atom